A relaxed structure of Nd3PO7. Source: the Materials Project database, functional r2SCAN.

Cell: 9.287 9.287 12.324 Å, 102.89 102.89 90.95°
Positions (direct):
P: 0.168 0.168 0.720
P: 0.828 0.828 0.288
P: 0.164 0.164 0.343
P: 0.836 0.836 0.927
P: 0.495 0.495 0.496
P: 0.499 0.499 0.872
O: 0.414 0.925 0.885
O: 0.436 0.889 0.552
O: 0.733 0.925 0.219
O: 0.065 0.065 0.614
O: 0.333 0.524 0.496
O: 0.930 0.738 0.996
O: 0.227 0.774 0.663
O: 0.720 0.720 0.317
O: 0.047 0.619 0.771
O: 0.924 0.924 0.399
O: 0.404 0.404 0.925
O: 0.774 0.227 0.663
O: 0.545 0.118 0.108
O: 0.738 0.930 0.996
O: 0.532 0.532 0.388
O: 0.616 0.044 0.444
O: 0.259 0.259 0.290
O: 0.925 0.414 0.885
O: 0.597 0.597 0.602
O: 0.411 0.905 0.219
O: 0.905 0.411 0.219
O: 0.139 0.330 0.719
O: 0.330 0.139 0.719
O: 0.249 0.738 0.330
O: 0.076 0.269 0.415
O: 0.740 0.740 0.816
O: 0.058 0.058 0.238
O: 0.738 0.249 0.330
O: 0.925 0.733 0.219
O: 0.269 0.076 0.415
O: 0.944 0.944 0.898
O: 0.133 0.133 0.829
O: 0.587 0.394 0.800
O: 0.889 0.436 0.552
O: 0.524 0.333 0.496
O: 0.118 0.545 0.108
O: 0.619 0.047 0.771
O: 0.253 0.758 0.996
O: 0.758 0.253 0.996
O: 0.044 0.616 0.444
O: 0.394 0.587 0.800
O: 0.605 0.605 0.976
Nd: 0.165 0.510 0.919
Nd: 0.856 0.169 0.496
Nd: 0.508 0.853 0.054
Nd: 0.499 0.808 0.380
Nd: 0.810 0.155 0.161
Nd: 0.808 0.499 0.380
Nd: 0.142 0.521 0.608
Nd: 0.855 0.164 0.836
Nd: 0.153 0.498 0.296
Nd: 0.164 0.855 0.836
Nd: 0.169 0.856 0.496
Nd: 0.807 0.494 0.720
Nd: 0.853 0.508 0.054
Nd: 0.494 0.807 0.720
Nd: 0.155 0.810 0.161
Nd: 0.521 0.142 0.608
Nd: 0.498 0.153 0.296
Nd: 0.510 0.165 0.919

Output
- calculated volume (A^3/atom) = 15.3
- magnetization (μB/atom) = 0.00
- calculated formation energy (eV per atom) = -3.4852